VASP calculation (PBE) on a relaxed structure of BaHg2Cl2O2.

The value obtained for the theoretical density is 6.61 g/cm³. For the total energy, the calculation gives -3.592 eV/atom. The formation energy from the elements comes out at -10.401 eV/f.u. The size of the total moment is 0.0 μB per formula unit.

It has space group P4/mbm (No. 127), with a = 12.134 Å, b = 12.134 Å, c = 4.375 Å, α = 90.00°, β = 90.00° and γ = 90.00°. The inequivalent atoms are Ba at (0.136, 0.364, 0.000), Hg at (0.078, 0.827, 0.500), Cl at (0.000, 0.000, 0.000), Cl at (0.000, 0.500, 0.500), Cl at (0.173, 0.673, 0.000) and O at (0.086, 0.229, 0.500).